#w
Compound: Ag3AsSe3
Source: the Materials Project
Functional: PBE
Structure: relaxed

Lattice parameters (Å, degrees): 7.3086 7.3086 7.3086 103.29 103.29 103.29
Positions (direct):
Ag 0.0192 0.5863 0.2401
Ag 0.5863 0.2401 0.0192
Ag 0.2401 0.0192 0.5863
Ag 0.7401 0.0863 0.5192
Ag 0.0863 0.5192 0.7401
Ag 0.5192 0.7401 0.0863
As 0.4969 0.4969 0.4969
As 0.9969 0.9969 0.9969
Se 0.2237 0.2423 0.9077
Se 0.2423 0.9077 0.2237
Se 0.7237 0.4077 0.7423
Se 0.4077 0.7423 0.7237
Se 0.7423 0.7237 0.4077
Se 0.9077 0.2237 0.2423

---

#x
Compound: Ag3AsSe3
Source: the Materials Project
Functional: PBE
Structure: relaxed

Lattice parameters (Å, degrees): 8.2376 11.5026 21.1060 90.00 90.00 90.00
Positions (direct):
Ag 0.2143 0.4294 0.0573
Ag 0.2857 0.9294 0.5573
Ag 0.1444 0.5175 0.8226
Ag 0.1444 0.9825 0.8226
Ag 0.3316 0.3897 0.7156
Ag 0.7755 0.7500 0.6309
Ag 0.7857 0.9294 0.9427
Ag 0.8767 0.5349 0.5599
Ag 0.6684 0.6103 0.2844
Ag 0.6233 0.0349 0.0599
Ag 0.6444 0.5175 0.6774
Ag 0.8767 0.9651 0.5599
Ag 0.3556 0.0175 0.3226
Ag 0.8556 0.4825 0.1774
Ag 0.3767 0.9651 0.9401
Ag 0.2245 0.2500 0.3691
Ag 0.2143 0.0706 0.0573
Ag 0.3767 0.5349 0.9401
Ag 0.3316 0.1103 0.7156
Ag 0.6444 0.9825 0.6774
Ag 0.1233 0.4651 0.4401
Ag 0.1684 0.8897 0.2156
Ag 0.7245 0.2500 0.1309
Ag 0.2857 0.5706 0.5573
Ag 0.7143 0.0706 0.4427
Ag 0.7857 0.5706 0.9427
Ag 0.2755 0.7500 0.8691
Ag 0.8556 0.0175 0.1774
Ag 0.8316 0.3897 0.7844
Ag 0.3556 0.4825 0.3226
Ag 0.6684 0.8897 0.2844
Ag 0.6233 0.4651 0.0599
Ag 0.1684 0.6103 0.2156
Ag 0.8316 0.1103 0.7844
Ag 0.1233 0.0349 0.4401
Ag 0.7143 0.4294 0.4427
As 0.7875 0.7500 0.7938
As 0.7526 0.7500 0.1078
As 0.2125 0.2500 0.2062
As 0.2813 0.7500 0.0537
As 0.2474 0.2500 0.8922
As 0.7125 0.2500 0.2938
As 0.2875 0.7500 0.7062
As 0.2526 0.7500 0.3922
As 0.7813 0.7500 0.4463
As 0.7474 0.2500 0.6078
As 0.2187 0.2500 0.5537
As 0.7187 0.2500 0.9463
Se 0.6017 0.4165 0.5633
Se 0.3983 0.9165 0.4367
Se 0.4500 0.7500 0.6100
Se 0.5139 0.2500 0.0319
Se 0.8983 0.9165 0.0633
Se 0.8983 0.5835 0.0633
Se 0.1017 0.0835 0.9367
Se 0.9173 0.5964 0.7312
Se 0.0827 0.4036 0.2688
Se 0.1130 0.2500 0.7877
Se 0.5500 0.2500 0.3900
Se 0.1215 0.0886 0.6185
Se 0.9861 0.7500 0.5319
Se 0.6017 0.0835 0.5633
Se 0.1017 0.4165 0.9367
Se 0.5827 0.0964 0.2312
Se 0.0500 0.2500 0.1100
Se 0.1215 0.4114 0.6185
Se 0.6130 0.2500 0.7123
Se 0.8785 0.9114 0.3815
Se 0.3785 0.5886 0.1185
Se 0.4173 0.9036 0.7688
Se 0.0827 0.0964 0.2688
Se 0.5827 0.4036 0.2312
Se 0.3983 0.5835 0.4367
Se 0.9500 0.7500 0.8900
Se 0.3785 0.9114 0.1185
Se 0.8785 0.5886 0.3815
Se 0.9173 0.9036 0.7312
Se 0.6215 0.4114 0.8815
Se 0.4173 0.5964 0.7688
Se 0.0139 0.2500 0.4681
Se 0.8870 0.7500 0.2123
Se 0.3870 0.7500 0.2877
Se 0.6215 0.0886 0.8815
Se 0.4861 0.7500 0.9681

---

Most stable structure: #x

---

#w
Compound: Cs2AgAuCl6
Source: the Materials Project
Functional: PBE
Structure: relaxed

Lattice parameters (Å, degrees): 7.3829 7.3829 7.3829 60.00 60.00 60.00
Positions (direct):
Cs 0.2500 0.2500 0.2500
Cs 0.7500 0.7500 0.7500
Ag 0.5000 0.5000 0.5000
Au 0.0000 0.0000 0.0000
Cl 0.7533 0.7533 0.2467
Cl 0.2467 0.7533 0.7533
Cl 0.2467 0.2467 0.7533
Cl 0.7533 0.2467 0.7533
Cl 0.2467 0.7533 0.2467
Cl 0.7533 0.2467 0.2467

---

#x
Compound: Cs2AgAuCl6
Source: the Materials Project
Functional: PBE
Structure: relaxed

Lattice parameters (Å, degrees): 7.7760 7.7760 7.7760 122.71 122.71 85.37
Positions (direct):
Cs 0.7500 0.2500 0.5000
Cs 0.2500 0.7500 0.5000
Ag 0.5000 0.5000 0.0000
Au 0.0000 0.0000 0.0000
Cl 0.2899 0.2899 0.0000
Cl 0.7761 0.2239 0.0000
Cl 0.2239 0.7761 0.0000
Cl 0.7761 0.7761 0.5522
Cl 0.7101 0.7101 0.0000
Cl 0.2239 0.2239 0.4478

---

Most stable structure: #x

---

#w
Compound: Ag3AuS2
Source: the Materials Project
Functional: PBE
Structure: relaxed

Lattice parameters (Å, degrees): 9.8744 9.8744 9.8744 90.00 90.00 90.00
Positions (direct):
Ag 0.2515 0.3842 0.0009
Ag 0.4991 0.7485 0.8842
Ag 0.7515 0.1158 0.9991
Ag 0.0009 0.2515 0.3842
Ag 0.2485 0.6158 0.5009
Ag 0.7485 0.8842 0.4991
Ag 0.5009 0.2485 0.6158
Ag 0.8842 0.4991 0.7485
Ag 0.6158 0.5009 0.2485
Ag 0.1158 0.9991 0.7515
Ag 0.7509 0.6342 0.9985
Ag 0.7491 0.3658 0.4985
Ag 0.5015 0.2491 0.1342
Ag 0.4985 0.7491 0.3658
Ag 0.8658 0.0015 0.2509
Ag 0.3658 0.4985 0.7491
Ag 0.2491 0.1342 0.5015
Ag 0.9985 0.7509 0.6342
Ag 0.0015 0.2509 0.8658
Ag 0.1342 0.5015 0.2491
Ag 0.6342 0.9985 0.7509
Ag 0.3842 0.0009 0.2515
Ag 0.9991 0.7515 0.1158
Ag 0.2509 0.8658 0.0015
Au 0.6221 0.6221 0.6221
Au 0.8721 0.6279 0.3721
Au 0.6279 0.3721 0.8721
Au 0.3721 0.8721 0.6279
Au 0.1221 0.8779 0.3779
Au 0.8779 0.3779 0.1221
Au 0.3779 0.1221 0.8779
Au 0.1279 0.1279 0.1279
S 0.7608 0.7608 0.7608
S 0.0108 0.4892 0.5108
S 0.4892 0.5108 0.0108
S 0.5108 0.0108 0.4892
S 0.2608 0.7392 0.2392
S 0.7392 0.2392 0.2608
S 0.2392 0.2608 0.7392
S 0.9892 0.9892 0.9892
S 0.7665 0.2335 0.7335
S 0.2335 0.7335 0.7665
S 0.9835 0.0165 0.5165
S 0.0165 0.5165 0.9835
S 0.5165 0.9835 0.0165
S 0.2665 0.2665 0.2665
S 0.4835 0.4835 0.4835
S 0.7335 0.7665 0.2335

---

#x
Compound: Ag3AuS2
Source: the Materials Project
Functional: PBE
Structure: relaxed

Lattice parameters (Å, degrees): 5.4407 5.4407 5.4407 93.88 93.88 93.88
Positions (direct):
Ag 0.5000 0.0000 0.0000
Ag 0.0000 0.0000 0.5000
Ag 0.0000 0.5000 0.0000
Au 0.5000 0.5000 0.5000
S 0.7632 0.7632 0.7632
S 0.2368 0.2368 0.2368

---

Most stable structure: #x

---

#w
Compound: Ag2B8O13
Source: the Materials Project
Functional: PBE
Structure: relaxed

Lattice parameters (Å, degrees): 8.8492 6.7023 17.7735 89.95 90.00 90.00
Positions (direct):
Ag 0.9858 0.9260 0.6173
Ag 0.0607 0.4695 0.9054
Ag 0.4393 0.4695 0.4054
Ag 0.4858 0.0740 0.8827
Ag 0.5142 0.9260 0.1173
Ag 0.9393 0.5305 0.0946
Ag 0.0142 0.0740 0.3827
Ag 0.5607 0.5305 0.5946
B 0.8083 0.0264 0.2299
B 0.6316 0.9969 0.5922
B 0.0676 0.9788 0.1900
B 0.7314 0.2318 0.4961
B 0.6917 0.0264 0.7299
B 0.2686 0.7682 0.5039
B 0.1316 0.0031 0.9078
B 0.3684 0.0031 0.4078
B 0.7620 0.5342 0.7700
B 0.1983 0.4656 0.5924
B 0.2620 0.4658 0.7300
B 0.6983 0.5344 0.9076
B 0.8017 0.5344 0.4076
B 0.2716 0.1275 0.0197
B 0.5676 0.0212 0.3100
B 0.2284 0.1275 0.5197
B 0.1917 0.9736 0.7701
B 0.8684 0.9969 0.0922
B 0.2314 0.7682 0.0039
B 0.2380 0.4658 0.2300
B 0.4958 0.5151 0.1907
B 0.7686 0.2318 0.9961
B 0.7380 0.5342 0.2700
B 0.9958 0.4849 0.3093
B 0.0042 0.5151 0.6907
B 0.3017 0.4656 0.0924
B 0.7716 0.8725 0.4803
B 0.5042 0.4849 0.8093
B 0.3083 0.9736 0.2701
B 0.9324 0.0212 0.8100
B 0.7284 0.8725 0.9803
B 0.4324 0.9788 0.6900
O 0.8528 0.5358 0.7071
O 0.7828 0.0488 0.7918
O 0.8199 0.8354 0.0414
O 0.6070 0.5332 0.7525
O 0.7406 0.0006 0.6583
O 0.7594 0.0006 0.1583
O 0.5513 0.4538 0.8812
O 0.2659 0.5806 0.5317
O 0.9634 0.0310 0.2459
O 0.4782 0.9523 0.6181
O 0.3199 0.1646 0.4586
O 0.6896 0.5351 0.3425
O 0.8186 0.0738 0.4681
O 0.7659 0.4194 0.9682
O 0.0218 0.9523 0.1181
O 0.2172 0.9512 0.2082
O 0.6814 0.0738 0.9681
O 0.2828 0.9512 0.7082
O 0.1896 0.4649 0.1575
O 0.1472 0.4642 0.2929
O 0.1801 0.1646 0.9586
O 0.2594 0.9994 0.3417
O 0.6472 0.5358 0.2071
O 0.6725 0.7410 0.9306
O 0.3930 0.4668 0.2475
O 0.8104 0.5351 0.8425
O 0.3627 0.8061 0.4439
O 0.3275 0.2590 0.0694
O 0.1070 0.4668 0.7475
O 0.8275 0.7410 0.4306
O 0.4634 0.9690 0.2541
O 0.1373 0.8061 0.9439
O 0.1814 0.9262 0.5319
O 0.9487 0.4538 0.3812
O 0.0366 0.9690 0.7541
O 0.5218 0.0477 0.3819
O 0.0513 0.5462 0.6188
O 0.6373 0.1939 0.5561
O 0.6801 0.8354 0.5414
O 0.2341 0.5806 0.0318
O 0.1725 0.2590 0.5694
O 0.3104 0.4649 0.6575
O 0.7341 0.4194 0.4682
O 0.5366 0.0310 0.7459
O 0.8627 0.1939 0.0561
O 0.9782 0.0477 0.8819
O 0.4487 0.5462 0.1188
O 0.3186 0.9262 0.0319
O 0.3528 0.4642 0.7929
O 0.7172 0.0488 0.2918
O 0.8930 0.5332 0.2525
O 0.2406 0.9994 0.8417

---

#x
Compound: Ag2B8O13
Source: the Materials Project
Functional: PBE
Structure: relaxed

Lattice parameters (Å, degrees): 8.4814 10.7351 11.5894 101.09 90.00 90.00
Positions (direct):
Ag 0.1245 0.8150 0.6185
Ag 0.1332 0.4618 0.9251
Ag 0.3681 0.9612 0.9259
Ag 0.4138 0.3056 0.6148
Ag 0.6245 0.6850 0.3815
Ag 0.6332 0.0382 0.0749
Ag 0.8681 0.5388 0.0741
Ag 0.9138 0.1944 0.3852
B 0.0041 0.5405 0.7098
B 0.0416 0.6978 0.3278
B 0.0723 0.8918 0.2429
B 0.0775 0.7408 0.8720
B 0.0942 0.0657 0.1245
B 0.1143 0.1064 0.6000
B 0.1697 0.2194 0.0043
B 0.1791 0.5528 0.4399
B 0.3204 0.0525 0.4397
B 0.3305 0.7197 0.0047
B 0.3859 0.6047 0.5995
B 0.4063 0.5664 0.1253
B 0.4230 0.2413 0.8726
B 0.4291 0.3915 0.2419
B 0.4564 0.1977 0.3276
B 0.4964 0.0407 0.7103
B 0.5041 0.9595 0.2902
B 0.5416 0.8022 0.6722
B 0.5723 0.6082 0.7571
B 0.5775 0.7592 0.1280
B 0.5942 0.4343 0.8755
B 0.6143 0.3936 0.4000
B 0.6697 0.2806 0.9957
B 0.6791 0.9472 0.5601
B 0.8204 0.4475 0.5603
B 0.8305 0.7803 0.9953
B 0.8859 0.8953 0.4005
B 0.9063 0.9336 0.8747
B 0.9230 0.2587 0.1274
B 0.9291 0.1085 0.7581
B 0.9564 0.3023 0.6724
B 0.9964 0.4593 0.2897
O 0.0361 0.0420 0.6766
O 0.0221 0.4231 0.7397
O 0.0404 0.2910 0.0448
O 0.0345 0.8631 0.8348
O 0.0856 0.2303 0.5992
O 0.0967 0.4473 0.3820
O 0.0884 0.6426 0.7651
O 0.1113 0.7708 0.2460
O 0.1346 0.9536 0.1585
O 0.1599 0.6706 0.4146
O 0.1931 0.1022 0.0395
O 0.2178 0.0295 0.5262
O 0.2658 0.2611 0.9268
O 0.2348 0.7610 0.9268
O 0.2837 0.5286 0.5247
O 0.3070 0.6028 0.0404
O 0.3359 0.1699 0.4128
O 0.3655 0.4541 0.1588
O 0.3884 0.2709 0.2453
O 0.4128 0.1435 0.7649
O 0.4043 0.9476 0.3830
O 0.4092 0.7305 0.6027
O 0.4663 0.3634 0.8351
O 0.4598 0.7913 0.0453
O 0.4769 0.9234 0.7398
O 0.4686 0.5400 0.6737
O 0.5361 0.4580 0.3234
O 0.5221 0.0769 0.2603
O 0.5404 0.2090 0.9552
O 0.5345 0.6369 0.1652
O 0.5856 0.2697 0.4008
O 0.5967 0.0527 0.6180
O 0.5884 0.8574 0.2349
O 0.6113 0.7292 0.7540
O 0.6346 0.5464 0.8415
O 0.6599 0.8294 0.5854
O 0.6931 0.3978 0.9605
O 0.7178 0.4705 0.4738
O 0.7658 0.2389 0.0732
O 0.7348 0.7390 0.0732
O 0.7837 0.9714 0.4753
O 0.8070 0.8972 0.9596
O 0.8359 0.3301 0.5872
O 0.8655 0.0459 0.8412
O 0.8884 0.2291 0.7547
O 0.9128 0.3565 0.2351
O 0.9043 0.5524 0.6170
O 0.9092 0.7695 0.3973
O 0.9663 0.1366 0.1649
O 0.9598 0.7087 0.9547
O 0.9769 0.5766 0.2602
O 0.9686 0.9600 0.3263

---

Most stable structure: #w

---

#w
Compound: BaYMgCuAgO5
Source: the Materials Project
Functional: PBE
Structure: relaxed

Lattice parameters (Å, degrees): 4.3397 3.7296 10.4584 90.00 90.00 90.00
Positions (direct):
Ba 0.0000 0.0000 0.1028
Y 0.0000 0.0000 0.4399
Mg 0.5000 0.0000 0.8538
Cu 0.5000 0.5000 0.3095
Ag 0.5000 0.5000 0.5853
O 0.0000 0.5000 0.5475
O 0.5000 0.0000 0.6766
O 0.0000 0.5000 0.2677
O 0.5000 0.0000 0.3358
O 0.5000 0.5000 0.9522

---

#x
Compound: BaYMgCuAgO5
Source: the Materials Project
Functional: PBE
Structure: relaxed

Lattice parameters (Å, degrees): 3.8582 3.8596 9.8675 90.00 90.00 90.00
Positions (direct):
Ba 0.0000 0.0000 0.0481
Y 0.0000 0.0000 0.4165
Mg 0.0000 0.0000 0.6793
Cu 0.5000 0.5000 0.2621
Ag 0.5000 0.5000 0.7659
O 0.0000 0.5000 0.5983
O 0.5000 0.0000 0.5978
O 0.0000 0.5000 0.2834
O 0.5000 0.0000 0.2832
O 0.5000 0.5000 0.9866

---

Most stable structure: #x